(1)
Material: SrBi2Pd2
Method: DFT, meta-GGA r2SCAN
State: optimized geometry

The structure belongs to space group P2_1/m (No. 11); the cell edges are 4.926, 4.817 and 10.807 Å and the angles 90.00°, 91.77° and 90.00°. The asymmetric unit holds Sr at (0.241, 0.250, 0.237), Bi at (0.249, 0.750, 0.497), Bi at (0.291, 0.250, 0.880), Pd at (0.190, 0.750, 0.999) and Pd at (0.256, 0.250, 0.629).

The value obtained for the volume is 25.63 Å³ per atom. The calculated total energy comes out at -362.38 eV per cell. As for the formation energy: -0.62 eV/atom.


(2)
Material: Y5BiPd2
Method: DFT, meta-GGA r2SCAN
State: optimized geometry

The structure belongs to space group I4/mcm (No. 140); the cell edges are 7.834, 7.834 and 13.744 Å and the angles 90.00°, 90.00° and 90.00°. The asymmetric unit holds Y at (0.000, 0.000, 0.000), Y at (0.154, 0.346, 0.140), Bi at (0.000, 0.000, 0.250) and Pd at (0.138, 0.362, 0.500).

The value obtained for the volume is 26.36 Å³ per atom. The calculated total energy comes out at -848.08 eV per cell. As for the formation energy: -0.75 eV/atom.


(3)
Material: Pr5Bi3
Method: DFT, meta-GGA r2SCAN
State: optimized geometry

The structure belongs to space group P6_3/mcm (No. 193); the cell edges are 9.5858, 9.5858 and 6.6548 Å and the angles 90.00°, 90.00° and 120.00°. The asymmetric unit holds Pr at (0.0000, 0.2497, 0.2500), Pr at (0.3333, 0.6667, 0.0000) and Bi at (0.0000, 0.3857, 0.7500).

The value obtained for the volume is 33.10 Å³ per atom. The calculated total energy comes out at -659.89 eV per cell. As for the formation energy: -0.93 eV/atom.


(4)
Material: Pr2Bi
Method: DFT, meta-GGA r2SCAN
State: optimized geometry

The structure belongs to space group I4/mmm (No. 139); the cell edges are 4.666, 4.666 and 18.334 Å and the angles 90.00°, 90.00° and 90.00°. The asymmetric unit holds Pr at (0.000, 0.000, 0.180), Pr at (0.000, 0.500, 0.000) and Bi at (0.000, 0.000, 0.362).

The value obtained for the volume is 33.26 Å³ per atom. The calculated total energy comes out at -479.17 eV per cell. As for the formation energy: -0.83 eV/atom.